(1)
Density functional theory data (GGA+U) for a geometry-optimized Ba8SrCa3W4O24 structure.

Cell lengths 6.0384, 10.5105, 10.5113 Å; angles 80.08, 73.55, 89.53 degrees
With the nearest neighbours (Å) after each atom.
Atoms (fractional coordinates):
1 Ba 0.0600 0.1865 0.3732  8 O 2.76-3.07
2 Ba 0.1917 0.5616 0.1232  7 O 2.74-3.04
3 Ba 0.3100 0.9386 0.8744  9 O 2.77-3.07
4 Ba 0.4400 0.3081 0.6279  7 O 2.77-3.09
5 Ba 0.5600 0.6919 0.3721  7 O 2.77-3.09
6 Ba 0.6900 0.0614 0.1256  9 O 2.77-3.07
7 Ba 0.8083 0.4384 0.8768  7 O 2.74-3.04
8 Ba 0.9400 0.8135 0.6268  8 O 2.76-3.07
9 Sr 0.0000 0.5000 0.5000  6 O 2.41
10 Ca 0.2504 0.2504 0.9991  6 O 2.33-2.35
11 Ca 0.5000 0.0000 0.5000  6 O 2.34-2.35
12 Ca 0.7496 0.7496 0.0009  6 O 2.33-2.35
13 W 0.1260 0.8773 0.2483  6 O 1.94-1.97
14 W 0.3733 0.6265 0.7530  6 O 1.94-1.97
15 W 0.6267 0.3735 0.2470  6 O 1.94-1.97
16 W 0.8740 0.1227 0.7517  6 O 1.94-1.97
17 O 0.0624 0.7209 0.3841  1 W 1.94
18 O 0.0786 0.1901 0.8429  1 W 1.97
19 O 0.1096 0.7057 0.8653  1 W 1.97
20 O 0.1396 0.0445 0.6388  1 W 1.97
21 O 0.1680 0.5610 0.6639  1 W 1.94
22 O 0.1903 0.0371 0.1138  1 W 1.96
23 O 0.3094 0.4657 0.8879  1 W 1.97
24 O 0.3302 0.9431 0.3416  1 W 1.97
25 O 0.3703 0.4547 0.3580  1 W 1.95
26 O 0.3895 0.7974 0.1372  1 W 1.97
27 O 0.4208 0.3075 0.1555  1 W 1.97
28 O 0.4398 0.7859 0.6160  1 W 1.97
29 O 0.5602 0.2141 0.3840  1 W 1.97
30 O 0.5792 0.6925 0.8445  1 W 1.97
31 O 0.6105 0.2026 0.8628  1 W 1.97
32 O 0.6297 0.5453 0.6420  1 W 1.95
33 O 0.6698 0.0569 0.6584  1 W 1.97
34 O 0.6906 0.5343 0.1121  1 W 1.97
35 O 0.8097 0.9629 0.8862  1 W 1.96
36 O 0.8320 0.4390 0.3361  1 W 1.94
37 O 0.8604 0.9555 0.3612  1 W 1.97
38 O 0.8904 0.2943 0.1347  1 W 1.97
39 O 0.9214 0.8099 0.1571  1 W 1.97
40 O 0.9376 0.2791 0.6159  1 W 1.94

Computed properties:
The crystal system is triclinic. As for the energy relative to the elements: -3.013 eV per atom. The spin magnetization comes out at 0.000 μB/atom. As for the space-group type: P-1 (2).

(2)
Density functional theory data (GGA+U) for a geometry-optimized BaSrCaWO6 structure.

Cell lengths 6.1054, 6.1054, 6.1054 Å; angles 60.00, 60.00, 60.00 degrees
With the nearest neighbours (Å) after each atom.
Atoms (fractional coordinates):
1 Ba 0.0000 0.0000 0.0000  12 O 3.06
2 Sr 0.7500 0.7500 0.7500  6 O 2.37
3 Ca 0.5000 0.5000 0.5000  12 O 3.06
4 W 0.2500 0.2500 0.2500  6 O 1.95
5 O 0.0244 0.0244 0.4756  1 W 1.95
6 O 0.0244 0.4756 0.0244  1 W 1.95
7 O 0.0244 0.4756 0.4756  1 W 1.95
8 O 0.4756 0.0244 0.0244  1 W 1.95
9 O 0.4756 0.0244 0.4756  1 W 1.95
10 O 0.4756 0.4756 0.0244  1 W 1.95

Computed properties:
The crystal system is cubic. As for the energy relative to the elements: -2.811 eV per atom. The spin magnetization comes out at 0.000 μB/atom. As for the space-group type: F-43m (216).

(3)
Density functional theory data (GGA+U) for a geometry-optimized BaSrCaWO6 structure.

Cell lengths 5.9498, 5.9498, 8.7202 Å; angles 90.00, 90.00, 90.00 degrees
With the nearest neighbours (Å) after each atom.
Atoms (fractional coordinates):
1 Ba 0.0000 0.5000 0.2500  8 O 2.79-2.98
2 Ba 0.5000 0.0000 0.7500  8 O 2.79-2.98
3 Sr 0.0000 0.0000 0.0000  6 O 2.39-2.47
4 Sr 0.5000 0.5000 0.5000  6 O 2.39-2.47
5 Ca 0.0000 0.5000 0.7500  4 O 2.48
6 Ca 0.5000 0.0000 0.2500  4 O 2.48
7 W 0.0000 0.0000 0.5000  6 O 1.95-1.97
8 W 0.5000 0.5000 0.0000  6 O 1.95-1.97
9 O 0.0000 0.0000 0.2736  1 W 1.97
10 O 0.0000 0.0000 0.7264  1 W 1.97
11 O 0.1393 0.2957 0.5214  1 W 1.95
12 O 0.2043 0.3607 0.9786  1 W 1.95
13 O 0.2957 0.8607 0.4786  1 W 1.95
14 O 0.3607 0.7957 0.0214  1 W 1.95
15 O 0.5000 0.5000 0.2264  1 W 1.97
16 O 0.5000 0.5000 0.7736  1 W 1.97
17 O 0.6393 0.2043 0.0214  1 W 1.95
18 O 0.7043 0.1393 0.4786  1 W 1.95
19 O 0.7957 0.6393 0.9786  1 W 1.95
20 O 0.8607 0.7043 0.5214  1 W 1.95

Computed properties:
The crystal system is tetragonal. As for the energy relative to the elements: -2.909 eV per atom. The spin magnetization comes out at 0.000 μB/atom. As for the space-group type: P-4n2 (118).